Entry 1:
# SnHgP14 GGA-PBE relaxed
data_SnHgP14
_chemical_formula_sum 'Sn4 Hg4 P56'
_symmetry_space_group_name_H-M 'P 1'
_symmetry_Int_Tables_number 1
_cell_length_a 13.508
_cell_length_b 9.873
_cell_length_c 11.097
_cell_angle_alpha 90.00
_cell_angle_beta 90.00
_cell_angle_gamma 90.00
loop_
_symmetry_equiv_pos_as_xyz
'x,y,z'
loop_
_atom_site_label
_atom_site_type_symbol
_atom_site_fract_x
_atom_site_fract_y
_atom_site_fract_z
_atom_site_occupancy
Sn1 Sn 0.167 0.250 0.097 1
Sn2 Sn 0.333 0.750 0.597 1
Sn3 Sn 0.667 0.250 0.403 1
Sn4 Sn 0.833 0.750 0.903 1
Hg1 Hg 0.183 0.750 0.996 1
Hg2 Hg 0.317 0.250 0.496 1
Hg3 Hg 0.683 0.750 0.504 1
Hg4 Hg 0.817 0.250 0.004 1
P1 P 0.023 0.076 0.847 1
P2 P 0.023 0.424 0.847 1
P3 P 0.025 0.750 0.838 1
P4 P 0.046 0.250 0.723 1
P5 P 0.057 0.582 0.711 1
P6 P 0.057 0.918 0.711 1
P7 P 0.082 0.077 0.410 1
P8 P 0.082 0.423 0.410 1
P9 P 0.091 0.750 0.392 1
P10 P 0.137 0.545 0.134 1
P11 P 0.137 0.955 0.134 1
P12 P 0.171 0.250 0.344 1
P13 P 0.179 0.576 0.323 1
P14 P 0.179 0.924 0.323 1
P15 P 0.321 0.076 0.823 1
P16 P 0.321 0.424 0.823 1
P17 P 0.329 0.750 0.844 1
P18 P 0.363 0.045 0.634 1
P19 P 0.363 0.455 0.634 1
P20 P 0.409 0.250 0.892 1
P21 P 0.418 0.577 0.910 1
P22 P 0.418 0.923 0.910 1
P23 P 0.443 0.082 0.211 1
P24 P 0.443 0.418 0.211 1
P25 P 0.454 0.750 0.223 1
P26 P 0.475 0.250 0.338 1
P27 P 0.477 0.576 0.347 1
P28 P 0.477 0.924 0.347 1
P29 P 0.523 0.076 0.653 1
P30 P 0.523 0.424 0.653 1
P31 P 0.525 0.750 0.662 1
P32 P 0.546 0.250 0.777 1
P33 P 0.557 0.582 0.789 1
P34 P 0.557 0.918 0.789 1
P35 P 0.582 0.077 0.090 1
P36 P 0.582 0.423 0.090 1
P37 P 0.591 0.750 0.108 1
P38 P 0.637 0.545 0.366 1
P39 P 0.637 0.955 0.366 1
P40 P 0.671 0.250 0.156 1
P41 P 0.679 0.576 0.177 1
P42 P 0.679 0.924 0.177 1
P43 P 0.821 0.076 0.677 1
P44 P 0.821 0.424 0.677 1
P45 P 0.829 0.750 0.656 1
P46 P 0.863 0.045 0.866 1
P47 P 0.863 0.455 0.866 1
P48 P 0.909 0.250 0.608 1
P49 P 0.918 0.577 0.590 1
P50 P 0.918 0.923 0.590 1
P51 P 0.943 0.082 0.289 1
P52 P 0.943 0.418 0.289 1
P53 P 0.954 0.750 0.277 1
P54 P 0.975 0.250 0.162 1
P55 P 0.977 0.576 0.153 1
P56 P 0.977 0.924 0.153 1
# Formation energy (eV per atom): -0.0062
# Raw total energy (eV/atom): -5.0124
# SG: Pnma, No. 62



Entry 2:
# LaMg14B GGA-PBE relaxed
data_LaMg14B
_chemical_formula_sum 'La1 Mg14 B1'
_symmetry_space_group_name_H-M 'P 1'
_symmetry_Int_Tables_number 1
_cell_length_a 6.438
_cell_length_b 6.438
_cell_length_c 10.244
_cell_angle_alpha 90.00
_cell_angle_beta 90.00
_cell_angle_gamma 120.00
loop_
_symmetry_equiv_pos_as_xyz
'x,y,z'
loop_
_atom_site_label
_atom_site_type_symbol
_atom_site_fract_x
_atom_site_fract_y
_atom_site_fract_z
_atom_site_occupancy
La1 La 0.000 0.000 0.000 1
Mg1 Mg 0.015 0.507 0.000 1
Mg2 Mg 0.162 0.325 0.270 1
Mg3 Mg 0.162 0.325 0.730 1
Mg4 Mg 0.162 0.838 0.270 1
Mg5 Mg 0.162 0.838 0.730 1
Mg6 Mg 0.493 0.507 0.000 1
Mg7 Mg 0.493 0.985 0.000 1
Mg8 Mg 0.504 0.008 0.500 1
Mg9 Mg 0.504 0.496 0.500 1
Mg10 Mg 0.667 0.333 0.239 1
Mg11 Mg 0.667 0.333 0.761 1
Mg12 Mg 0.675 0.838 0.270 1
Mg13 Mg 0.675 0.838 0.730 1
Mg14 Mg 0.992 0.496 0.500 1
B1 B 0.000 0.000 0.500 1
# Formation energy (eV per atom): 0.2034
# Raw total energy (eV/atom): -1.9228
# SG: P-6m2, No. 187
# Energy relative to the lowest polymorph listed for this composition (eV per atom): 0.077